! VHO3 (GGA+U, optimized geometry); values from VASP
&SYSTEM
  ibrav = 0, nat = 20, ntyp = 3
/
ATOMIC_SPECIES
O 16.00 O.upf
H 1.01 H.upf
V 50.94 V.upf
CELL_PARAMETERS angstrom
3.634 0.000 0.000
-1.745 5.924 0.000
-0.006 -0.782 12.116
ATOMIC_POSITIONS crystal
O 0.079 0.152 0.268
O 0.614 0.224 0.106
H 0.592 0.383 0.502
O 0.800 0.602 0.268
O 0.074 0.147 0.913
H 0.447 0.916 0.507
O 0.756 0.508 0.900
H 0.109 0.707 0.485
V 0.219 0.432 0.863
O 0.201 0.395 0.732
O 0.386 0.775 0.893
O 0.245 0.492 0.100
V 0.781 0.568 0.137
H 0.888 0.244 0.489
V 0.922 0.849 0.863
O 0.383 0.750 0.501
V 0.079 0.151 0.137
O 0.615 0.230 0.492
O 0.922 0.851 0.732
O 0.926 0.853 0.088
! Formation energy ... -1.92 eV per atom
! Crystal system ... triclinic
! Space-group type ... No. 1